[1]
VASP calculation (PBE) on Li6PS5Br after structural relaxation.

abc: 7.2869 7.2869 7.2869
angles: 60.00 60.00 60.00
With the nearest neighbours (Å) after each atom.
Fractional coordinates of all 13 atoms:
1 Li 0.2268 0.2268 0.7732  3 S 2.34-2.43
2 Li 0.2268 0.7732 0.2268  3 S 2.34-2.43
3 Li 0.2268 0.7732 0.7732  3 S 2.34-2.43
4 Li 0.7732 0.2268 0.2268  3 S 2.34-2.43
5 Li 0.7732 0.2268 0.7732  3 S 2.34-2.43
6 Li 0.7732 0.7732 0.2268  3 S 2.34-2.43
7 P 0.2500 0.2500 0.2500  4 S 2.06
8 S 0.0000 0.0000 0.0000  6 Li 2.34
9 S 0.3652 0.3652 0.3652  1 P 2.06
10 S 0.3652 0.3652 0.9045  1 P 2.06
11 S 0.3652 0.9045 0.3652  1 P 2.06
12 S 0.9045 0.3652 0.3652  1 P 2.06
13 Br 0.7500 0.7500 0.7500  12 Li 3.65

Piezoelectric modulus e_max = 0.1 C/m²
ΔE_f = -1.307 eV/atom


[2]
VASP calculation (PBE) on Na3Mg4Nb2P3S6O36 after structural relaxation.

abc: 8.6942 8.6942 22.8016
angles: 90.00 90.00 120.00
With the nearest neighbours (Å) after each atom.
Fractional coordinates of all 108 atoms:
1 Na 0.0000 0.0000 0.0000  6 O 2.56-2.64
2 Na 0.0000 0.0000 0.5000  6 O 2.56-2.64
3 Na 0.3333 0.6667 0.1662  6 O 2.52-2.68
4 Na 0.3333 0.6667 0.6662  6 O 2.52-2.68
5 Na 0.6667 0.3333 0.3328  6 O 2.51-2.69
6 Na 0.6667 0.3333 0.8328  6 O 2.51-2.69
7 Mg 0.0000 0.0000 0.1518  6 O 2.08-2.13
8 Mg 0.0000 0.0000 0.3575  6 O 2.02-2.08
9 Mg 0.0000 0.0000 0.6518  6 O 2.08-2.13
10 Mg 0.0000 0.0000 0.8575  6 O 2.02-2.08
11 Mg 0.3333 0.6667 0.0224  6 O 1.98-2.12
12 Mg 0.3333 0.6667 0.5224  6 O 1.98-2.12
13 Mg 0.6667 0.3333 0.1889  6 O 2.02-2.11
14 Mg 0.6667 0.3333 0.6889  6 O 2.02-2.11
15 Nb 0.3333 0.6667 0.3209  6 O 1.94-2.08
16 Nb 0.3333 0.6667 0.8209  6 O 1.94-2.08
17 Nb 0.6667 0.3333 0.4815  6 O 1.97-2.04
18 Nb 0.6667 0.3333 0.9815  6 O 1.97-2.04
19 P 0.0474 0.3729 0.4240  4 O 1.49-1.61
20 P 0.0474 0.6745 0.9240  4 O 1.49-1.61
21 P 0.3255 0.3729 0.9240  4 O 1.49-1.61
22 P 0.3255 0.9526 0.4240  4 O 1.49-1.61
23 P 0.6271 0.6745 0.4240  4 O 1.49-1.61
24 P 0.6271 0.9526 0.9240  4 O 1.49-1.61
25 S 0.2920 0.0027 0.7541  4 O 1.46-1.55
26 S 0.2920 0.2893 0.2541  4 O 1.46-1.55
27 S 0.3752 0.0410 0.0891  4 O 1.46-1.54
28 S 0.3752 0.3342 0.5891  4 O 1.46-1.54
29 S 0.6658 0.0410 0.5891  4 O 1.46-1.54
30 S 0.6658 0.6248 0.0891  4 O 1.46-1.54
31 S 0.7107 0.0027 0.2541  4 O 1.46-1.55
32 S 0.7107 0.7080 0.7541  4 O 1.46-1.55
33 S 0.9590 0.3342 0.0891  4 O 1.46-1.54
34 S 0.9590 0.6248 0.5891  4 O 1.46-1.54
35 S 0.9973 0.2893 0.7541  4 O 1.46-1.55
36 S 0.9973 0.7080 0.2541  4 O 1.46-1.55
37 O 0.0158 0.1903 0.4122  1 P 1.49
38 O 0.0158 0.8256 0.9122  1 P 1.49
39 O 0.0304 0.2154 0.7010  1 S 1.47
40 O 0.0304 0.8150 0.2010  1 S 1.47
41 O 0.1328 0.4967 0.3672  1 P 1.61
42 O 0.1328 0.6361 0.8672  1 P 1.61
43 O 0.1343 0.4931 0.0819  1 S 1.47
44 O 0.1343 0.6412 0.5819  1 S 1.47
45 O 0.1542 0.4594 0.4776  1 P 1.49
46 O 0.1542 0.6948 0.9776  1 P 1.49
47 O 0.1640 0.4752 0.7615  1 S 1.55
48 O 0.1640 0.6888 0.2615  1 S 1.55
49 O 0.1744 0.1903 0.9122  1 P 1.49
50 O 0.1744 0.9842 0.4122  1 P 1.49
51 O 0.1850 0.2154 0.2010  1 S 1.47
52 O 0.1850 0.9696 0.7010  1 S 1.47
53 O 0.2006 0.0305 0.0913  1 S 1.48
54 O 0.2006 0.1701 0.5913  1 S 1.48
55 O 0.2102 0.0238 0.8071  1 S 1.46
56 O 0.2102 0.1864 0.3071  1 S 1.46
57 O 0.3052 0.4594 0.9776  1 P 1.49
58 O 0.3052 0.8458 0.4776  1 P 1.49
59 O 0.3112 0.4752 0.2615  1 S 1.55
60 O 0.3112 0.8360 0.7615  1 S 1.55
61 O 0.3588 0.4931 0.5819  1 S 1.47
62 O 0.3588 0.8657 0.0819  1 S 1.47
63 O 0.3639 0.4967 0.8672  1 P 1.61
64 O 0.3639 0.8672 0.3672  1 P 1.61
65 O 0.4684 0.1553 0.0345  1 S 1.54
66 O 0.4684 0.3131 0.5345  1 S 1.54
67 O 0.4736 0.1564 0.7483  1 S 1.48
68 O 0.4736 0.3172 0.2483  1 S 1.48
69 O 0.4836 0.1268 0.1409  1 S 1.46
70 O 0.4836 0.3568 0.6409  1 S 1.46
71 O 0.5033 0.6361 0.3672  1 P 1.61
72 O 0.5033 0.8672 0.8672  1 P 1.61
73 O 0.5044 0.1405 0.4290  1 P 1.60
74 O 0.5044 0.3639 0.9290  1 P 1.60
75 O 0.5069 0.6412 0.0819  1 S 1.47
76 O 0.5069 0.8657 0.5819  1 S 1.47
77 O 0.5248 0.6888 0.7615  1 S 1.55
78 O 0.5248 0.8360 0.2615  1 S 1.55
79 O 0.5406 0.6948 0.4776  1 P 1.49
80 O 0.5406 0.8458 0.9776  1 P 1.49
81 O 0.6361 0.1405 0.9290  1 P 1.60
82 O 0.6361 0.4956 0.4290  1 P 1.60
83 O 0.6432 0.1268 0.6409  1 S 1.46
84 O 0.6432 0.5164 0.1409  1 S 1.46
85 O 0.6828 0.1564 0.2483  1 S 1.48
86 O 0.6828 0.5264 0.7483  1 S 1.48
87 O 0.6869 0.1553 0.5345  1 S 1.54
88 O 0.6869 0.5316 0.0345  1 S 1.54
89 O 0.7846 0.8150 0.7010  1 S 1.47
90 O 0.7846 0.9696 0.2010  1 S 1.47
91 O 0.8097 0.8256 0.4122  1 P 1.49
92 O 0.8097 0.9842 0.9122  1 P 1.49
93 O 0.8136 0.0238 0.3071  1 S 1.46
94 O 0.8136 0.7898 0.8071  1 S 1.46
95 O 0.8299 0.0305 0.5913  1 S 1.48
96 O 0.8299 0.7994 0.0913  1 S 1.48
97 O 0.8436 0.3172 0.7483  1 S 1.48
98 O 0.8436 0.5264 0.2483  1 S 1.48
99 O 0.8447 0.3131 0.0345  1 S 1.54
100 O 0.8447 0.5316 0.5345  1 S 1.54
101 O 0.8595 0.3639 0.4290  1 P 1.60
102 O 0.8595 0.4956 0.9290  1 P 1.60
103 O 0.8732 0.3568 0.1409  1 S 1.46
104 O 0.8732 0.5164 0.6409  1 S 1.46
105 O 0.9695 0.1701 0.0913  1 S 1.48
106 O 0.9695 0.7994 0.5913  1 S 1.48
107 O 0.9762 0.1864 0.8071  1 S 1.46
108 O 0.9762 0.7898 0.3071  1 S 1.46

ΔE_f = -2.492 eV/atom


[3]
VASP calculation (PBE) on Rb2Ag2GeS4 after structural relaxation.

abc: 11.9178 11.9178 6.4002
angles: 98.00 98.00 142.54
With the nearest neighbours (Å) after each atom.
Fractional coordinates of all 18 atoms:
1 Rb 0.0617 0.9383 0.7500  6 S 3.43-3.56, 2 Ag 3.83
2 Rb 0.1918 0.8082 0.2500  6 S 3.41-3.52
3 Rb 0.8082 0.1918 0.7500  6 S 3.41-3.52
4 Rb 0.9383 0.0617 0.2500  6 S 3.43-3.56, 2 Ag 3.83
5 Ag 0.3155 0.6845 0.7500  2 S 2.39
6 Ag 0.4676 0.5324 0.7500  2 S 2.52
7 Ag 0.5324 0.4676 0.2500  2 S 2.52
8 Ag 0.6845 0.3155 0.2500  2 S 2.39
9 Ge 0.3768 0.6232 0.2500  4 S 2.25-2.26
10 Ge 0.6232 0.3768 0.7500  4 S 2.25-2.26
11 S 0.1220 0.4836 0.3414  1 Ge 2.25, 1 Ag 2.39
12 S 0.2334 0.3657 0.9524  1 Ge 2.26, 1 Ag 2.52
13 S 0.3657 0.2334 0.4524  1 Ge 2.26, 1 Ag 2.52
14 S 0.4836 0.1220 0.8414  1 Ge 2.25, 1 Ag 2.39
15 S 0.5164 0.8780 0.1586  1 Ge 2.25, 1 Ag 2.39
16 S 0.6343 0.7666 0.5476  1 Ge 2.26, 1 Ag 2.52
17 S 0.7666 0.6343 0.0476  1 Ge 2.26, 1 Ag 2.52
18 S 0.8780 0.5164 0.6586  1 Ge 2.25, 1 Ag 2.39

ΔE_f = -0.886 eV/atom


[4]
VASP calculation (PBE) on Ba3LaIr2O9 after structural relaxation.

abc: 6.0256 6.0256 15.1690
angles: 90.00 90.00 120.00
With the nearest neighbours (Å) after each atom.
Fractional coordinates of all 30 atoms:
1 Ba 0.0000 0.0000 0.2500  12 O 3.01-3.03
2 Ba 0.0000 0.0000 0.7500  12 O 3.01-3.03
3 Ba 0.3333 0.6667 0.1026  9 O 2.89-3.02
4 Ba 0.3333 0.6667 0.3974  9 O 2.89-3.02
5 Ba 0.6667 0.3333 0.6026  9 O 2.89-3.02
6 Ba 0.6667 0.3333 0.8974  9 O 2.89-3.02
7 La 0.0000 0.0000 0.0000  6 O 2.33
8 La 0.0000 0.0000 0.5000  6 O 2.33
9 Ir 0.3333 0.6667 0.6667  6 O 1.97-2.07
10 Ir 0.3333 0.6667 0.8333  6 O 1.97-2.07
11 Ir 0.6667 0.3333 0.1667  6 O 1.97-2.07
12 Ir 0.6667 0.3333 0.3333  6 O 1.97-2.07
13 O 0.0187 0.5093 0.7500  2 Ir 2.07
14 O 0.1789 0.3578 0.5924  1 Ir 1.97
15 O 0.1789 0.3578 0.9076  1 Ir 1.97
16 O 0.1789 0.8211 0.5924  1 Ir 1.97
17 O 0.1789 0.8211 0.9076  1 Ir 1.97
18 O 0.3578 0.1789 0.0924  1 Ir 1.97
19 O 0.3578 0.1789 0.4076  1 Ir 1.97
20 O 0.4907 0.5093 0.7500  2 Ir 2.07
21 O 0.4907 0.9813 0.7500  2 Ir 2.07
22 O 0.5093 0.0187 0.2500  2 Ir 2.07
23 O 0.5093 0.4907 0.2500  2 Ir 2.07
24 O 0.6422 0.8211 0.5924  1 Ir 1.97
25 O 0.6422 0.8211 0.9076  1 Ir 1.97
26 O 0.8211 0.1789 0.0924  1 Ir 1.97
27 O 0.8211 0.1789 0.4076  1 Ir 1.97
28 O 0.8211 0.6422 0.0924  1 Ir 1.97
29 O 0.8211 0.6422 0.4076  1 Ir 1.97
30 O 0.9813 0.4907 0.2500  2 Ir 2.07

ΔE_f = -2.494 eV/atom


[5]
VASP calculation (PBE) on PrBi2ClO4 after structural relaxation.

abc: 3.9728 3.9728 9.1619
angles: 90.00 90.00 90.00
With the nearest neighbours (Å) after each atom.
Fractional coordinates of all 8 atoms:
1 Pr 0.0000 0.0000 0.0000  8 O 2.49
2 Bi 0.5000 0.5000 0.2825  4 O 2.27
3 Bi 0.5000 0.5000 0.7175  4 O 2.27
4 Cl 0.0000 0.0000 0.5000  8 Bi 3.44, 8 O 3.67
5 O 0.0000 0.5000 0.1632  2 Bi 2.27, 2 Pr 2.49
6 O 0.0000 0.5000 0.8368  2 Bi 2.27, 2 Pr 2.49
7 O 0.5000 0.0000 0.1632  2 Bi 2.27, 2 Pr 2.49
8 O 0.5000 0.0000 0.8368  2 Bi 2.27, 2 Pr 2.49

ΔE_f = -2.314 eV/atom